(1)
Material: Nd3RuO7
Method: DFT, PBE
State: optimized geometry

Results
total magnetic moment = 0.27 μB per atom
energy = -0.2914 hartree per atom

a b c (Å): 7.5039 7.6030 10.9691
angles (deg): 90.00 90.00 90.00
Closest atoms and distances in Å follow each position.
Fractional positions:
Nd 0.0000 0.5000 0.0000  6 O 2.39-2.61
Nd 0.0000 0.0000 0.0000  6 O 2.39-2.61
Nd 0.5000 0.5000 0.5000  6 O 2.39-2.61
Nd 0.5000 0.0000 0.5000  6 O 2.39-2.61
Nd 0.3036 0.2500 0.2183  6 O 2.30-2.48
Nd 0.6964 0.7500 0.7817  6 O 2.30-2.48
Nd 0.3087 0.2500 0.7756  7 O 2.30-2.54
Nd 0.6913 0.7500 0.2244  7 O 2.30-2.54
Nd 0.8087 0.2500 0.7244  7 O 2.30-2.54
Nd 0.1913 0.7500 0.2756  7 O 2.30-2.54
Nd 0.8036 0.2500 0.2817  6 O 2.30-2.48
Nd 0.1964 0.7500 0.7183  6 O 2.30-2.48
Ru 0.5000 0.5000 0.0000  6 O 1.97-2.00
Ru 0.5000 0.0000 0.0000  6 O 1.97-2.00
Ru 0.0000 0.5000 0.5000  6 O 1.97-2.00
Ru 0.0000 0.0000 0.5000  6 O 1.97-2.00
O 0.4186 0.2500 0.9943  2 Ru 2.00
O 0.5814 0.7500 0.0057  2 Ru 2.00
O 0.9186 0.2500 0.5057  2 Ru 2.00
O 0.0814 0.7500 0.4943  2 Ru 2.00
O 0.0193 0.2500 0.1322  4 Nd 2.30-2.39
O 0.9807 0.7500 0.8678  4 Nd 2.30-2.39
O 0.0335 0.2500 0.8688  4 Nd 2.30-2.40
O 0.9665 0.7500 0.1312  4 Nd 2.30-2.40
O 0.5335 0.2500 0.6312  4 Nd 2.30-2.40
O 0.4665 0.7500 0.3688  4 Nd 2.30-2.40
O 0.5193 0.2500 0.3678  4 Nd 2.30-2.39
O 0.4807 0.7500 0.6322  4 Nd 2.30-2.39
O 0.2998 0.5363 0.1173  1 Ru 2.00
O 0.7002 0.0363 0.8827  1 Ru 2.00
O 0.7002 0.4637 0.8827  1 Ru 2.00
O 0.2998 0.9637 0.1173  1 Ru 2.00
O 0.3318 0.5416 0.8651  1 Ru 1.97
O 0.6682 0.0416 0.1349  1 Ru 1.97
O 0.6682 0.4584 0.1349  1 Ru 1.97
O 0.3318 0.9584 0.8651  1 Ru 1.97
O 0.8318 0.5416 0.6349  1 Ru 1.97
O 0.1682 0.0416 0.3651  1 Ru 1.97
O 0.1682 0.4584 0.3651  1 Ru 1.97
O 0.8318 0.9584 0.6349  1 Ru 1.97
O 0.7998 0.5363 0.3827  1 Ru 2.00
O 0.2002 0.0363 0.6173  1 Ru 2.00
O 0.2002 0.4637 0.6173  1 Ru 2.00
O 0.7998 0.9637 0.3827  1 Ru 2.00

***

(2)
Material: SrNdZnRuO6
Method: DFT, PBE
State: optimized geometry

Results
total magnetic moment = 0.30 μB per atom
energy = -0.2479 hartree per atom

a b c (Å): 5.7341 5.6013 9.6954
angles (deg): 54.74 90.00 90.00
Closest atoms and distances in Å follow each position.
Fractional positions:
Sr 0.2102 0.2425 0.2507  7 O 2.48-2.77
Sr 0.7898 0.2425 0.7507  7 O 2.48-2.77
Nd 0.3086 0.7638 0.7517  6 O 2.38-2.59
Nd 0.6914 0.7638 0.2517  6 O 2.38-2.59
Zn 0.7605 0.4995 0.0019  6 O 2.10-2.16
Zn 0.2395 0.4995 0.5019  6 O 2.10-2.16
Ru 0.7525 0.0014 0.4993  6 O 1.97-2.00
Ru 0.2475 0.0014 0.9993  6 O 1.97-2.00
O 0.0411 0.1391 0.5481  1 Ru 1.99, 1 Zn 2.13
O 0.9589 0.1391 0.0481  1 Ru 1.99, 1 Zn 2.13
O 0.4772 0.8351 0.4560  1 Ru 2.00, 1 Zn 2.15
O 0.5228 0.8351 0.9560  1 Ru 2.00, 1 Zn 2.15
O 0.9429 0.7572 0.4521  1 Ru 2.00, 1 Zn 2.10
O 0.0571 0.7572 0.9521  1 Ru 2.00, 1 Zn 2.10
O 0.5398 0.2349 0.5398  1 Ru 1.99, 1 Zn 2.16
O 0.4602 0.2349 0.0398  1 Ru 1.99, 1 Zn 2.16
O 0.7671 0.3396 0.2579  1 Ru 1.99, 1 Zn 2.10
O 0.2329 0.3396 0.7579  1 Ru 1.99, 1 Zn 2.10
O 0.7220 0.6870 0.7425  1 Ru 1.97, 1 Zn 2.10
O 0.2780 0.6870 0.2425  1 Ru 1.97, 1 Zn 2.10

***

(3)
Material: Nd10S14O
Method: DFT, PBE
State: optimized geometry

Results
total magnetic moment = 0.00 μB per atom
energy = -0.2418 hartree per atom

a b c (Å): 14.6789 14.6789 14.6789
angles (deg): 117.88 117.88 93.71
Closest atoms and distances in Å follow each position.
Fractional positions:
Nd 0.1349 0.3651 0.5000  8 S 2.86-3.06
Nd 0.2005 0.5509 0.0949  7 S 2.82-2.97
Nd 0.3944 0.0439 0.0949  7 S 2.82-2.97
Nd 0.1151 0.1151 0.7302  8 S 2.86-3.06
Nd 0.9561 0.0509 0.3504  7 S 2.82-2.97
Nd 0.3004 0.4263 0.8614  1 O 2.42
Nd 0.5737 0.4352 0.8742  1 O 2.42
Nd 0.5495 0.6991 0.4051  7 S 2.82-2.97
Nd 0.3009 0.7061 0.8504  7 S 2.82-2.97
Nd 0.1852 0.8110 0.3614  1 O 2.42
Nd 0.9496 0.3110 0.6258  1 O 2.42
Nd 0.8009 0.9505 0.5949  7 S 2.82-2.97
Nd 0.0737 0.1996 0.1386  1 O 2.42
Nd 0.2939 0.1444 0.5949  7 S 2.82-2.97
Nd 0.3849 0.3849 0.2698  8 S 2.86-3.06
Nd 0.8849 0.6151 0.0000  8 S 2.86-3.06
Nd 0.8004 0.9390 0.8742  1 O 2.42
Nd 0.6151 0.8849 0.0000  8 S 2.86-3.06
Nd 0.8944 0.7995 0.3504  7 S 2.82-2.97
Nd 0.6890 0.3148 0.6386  1 O 2.42
Nd 0.1890 0.5504 0.3742  1 O 2.42
Nd 0.7005 0.6056 0.6496  7 S 2.82-2.97
Nd 0.0610 0.9352 0.8614  1 O 2.42
Nd 0.1763 0.8148 0.6258  1 O 2.42
Nd 0.0648 0.9263 0.1258  1 O 2.42
Nd 0.4561 0.1056 0.9051  7 S 2.82-2.97
Nd 0.8556 0.4505 0.1496  7 S 2.82-2.97
Nd 0.3556 0.2061 0.4051  7 S 2.82-2.97
Nd 0.4496 0.8237 0.6386  1 O 2.42
Nd 0.0495 0.6444 0.8504  7 S 2.82-2.97
Nd 0.9491 0.2995 0.9051  7 S 2.82-2.97
Nd 0.5648 0.4390 0.1386  1 O 2.42
Nd 0.6763 0.0504 0.3614  1 O 2.42
Nd 0.3651 0.8651 0.2302  8 S 2.86-3.06
Nd 0.8651 0.6349 0.5000  8 S 2.86-3.06
Nd 0.5610 0.6996 0.1258  1 O 2.42
Nd 0.6349 0.1349 0.7698  8 S 2.86-3.06
Nd 0.6852 0.3237 0.3742  1 O 2.42
Nd 0.4491 0.5439 0.6496  7 S 2.82-2.97
Nd 0.7939 0.1991 0.1496  7 S 2.82-2.97
S 0.5083 0.2259 0.6412  5 Nd 2.86-2.97
S 0.3469 0.2388 0.8427  4 Nd 2.80-2.96
S 0.9958 0.1039 0.8427  4 Nd 2.80-2.96
S 0.6252 0.1045 0.1662  5 Nd 2.89-3.10
S 0.1250 0.7272 0.1022  6 Nd 2.86-3.06
S 0.8955 0.0617 0.5207  5 Nd 2.89-3.10
S 0.8469 0.0042 0.1081  4 Nd 2.80-2.96
S 0.4888 0.0969 0.3427  4 Nd 2.80-2.96
S 0.1248 0.1455 0.3338  5 Nd 2.89-3.10
S 0.3545 0.3752 0.6662  5 Nd 2.89-3.10
S 0.7542 0.1461 0.6573  4 Nd 2.80-2.96
S 0.5411 0.3748 0.4793  5 Nd 2.89-3.10
S 0.7417 0.8829 0.2176  5 Nd 2.86-2.97
S 0.6329 0.9153 0.6412  5 Nd 2.86-2.97
S 0.3539 0.7458 0.3427  4 Nd 2.80-2.96
S 0.2417 0.0241 0.8588  5 Nd 2.86-2.97
S 0.0847 0.7259 0.7176  5 Nd 2.86-2.97
S 0.9888 0.6461 0.3919  4 Nd 2.80-2.96
S 0.3955 0.8748 0.8338  5 Nd 2.89-3.10
S 0.6653 0.5241 0.7824  5 Nd 2.86-2.97
S 0.3961 0.5042 0.1573  4 Nd 2.80-2.96
S 0.4772 0.8750 0.1022  6 Nd 2.86-3.06
S 0.1329 0.4917 0.7176  5 Nd 2.86-2.97
S 0.6171 0.7583 0.7824  5 Nd 2.86-2.97
S 0.5847 0.8671 0.3588  5 Nd 2.86-2.97
S 0.8961 0.7388 0.8919  4 Nd 2.80-2.96
S 0.8117 0.7911 0.6662  5 Nd 2.89-3.10
S 0.0411 0.5617 0.1662  5 Nd 2.89-3.10
S 0.9759 0.8347 0.2176  5 Nd 2.86-2.97
S 0.7728 0.3750 0.8978  6 Nd 2.86-3.06
S 0.4031 0.0112 0.6573  4 Nd 2.80-2.96
S 0.4759 0.2583 0.1412  5 Nd 2.86-2.97
S 0.1171 0.3347 0.8588  5 Nd 2.86-2.97
S 0.1250 0.2272 0.6022  6 Nd 2.86-3.06
S 0.1252 0.9589 0.5207  5 Nd 2.89-3.10
S 0.2089 0.8752 0.0207  5 Nd 2.89-3.10
S 0.3117 0.6455 0.0207  5 Nd 2.89-3.10
S 0.2542 0.5969 0.6081  4 Nd 2.80-2.96
S 0.9031 0.2458 0.3919  4 Nd 2.80-2.96
S 0.9383 0.4589 0.8338  5 Nd 2.89-3.10
S 0.6250 0.0228 0.8978  6 Nd 2.86-3.06
S 0.7612 0.6039 0.1081  4 Nd 2.80-2.96
S 0.8545 0.1883 0.9793  5 Nd 2.89-3.10
S 0.0083 0.3671 0.2824  5 Nd 2.86-2.97
S 0.1653 0.3829 0.1412  5 Nd 2.86-2.97
S 0.7741 0.4153 0.2824  5 Nd 2.86-2.97
S 0.2728 0.3750 0.3978  6 Nd 2.86-3.06
S 0.6250 0.5228 0.3978  6 Nd 2.86-3.06
S 0.6248 0.2911 0.9793  5 Nd 2.89-3.10
S 0.2612 0.1531 0.1573  4 Nd 2.80-2.96
S 0.9772 0.8750 0.6022  6 Nd 2.86-3.06
S 0.4958 0.6531 0.8919  4 Nd 2.80-2.96
S 0.2741 0.9917 0.3588  5 Nd 2.86-2.97
S 0.8539 0.5112 0.6081  4 Nd 2.80-2.96
S 0.4383 0.6045 0.4793  5 Nd 2.89-3.10
S 0.7089 0.6883 0.3338  5 Nd 2.89-3.10
O 0.7500 0.2500 0.5000  4 Nd 2.42
O 0.5000 0.5000 0.0000  4 Nd 2.42
O 0.0000 0.0000 0.0000  4 Nd 2.42
O 0.2500 0.7500 0.5000  4 Nd 2.42

***

ΔH_f (0 K) / meV per atom: -3074, -2491, -2468